No. 1
A plane-wave DFT calculation with PBE was carried out for an optimized crystal structure of Li2PH3O4.

```
Li2PH3O4
1.0
5.107 0.000 0.000
0.000 9.084 0.000
-0.472 0.000 18.211
Li P H O
16 8 24 32
direct
0.180 0.146 0.045
0.180 0.354 0.545
0.186 0.680 0.610
0.186 0.820 0.110
0.307 0.670 0.950
0.307 0.830 0.450
0.308 0.157 0.444
0.308 0.343 0.944
0.692 0.657 0.056
0.692 0.843 0.556
0.693 0.170 0.550
0.693 0.330 0.050
0.814 0.180 0.890
0.814 0.320 0.390
0.820 0.646 0.455
0.820 0.854 0.955
0.196 0.012 0.594
0.196 0.488 0.094
0.305 0.002 0.897
0.305 0.498 0.397
0.695 0.502 0.603
0.695 0.998 0.103
0.804 0.512 0.906
0.804 0.988 0.406
0.064 0.743 0.242
0.064 0.757 0.742
0.236 0.012 0.821
0.236 0.488 0.321
0.237 0.066 0.285
0.237 0.434 0.785
0.285 0.028 0.668
0.285 0.088 0.202
0.285 0.412 0.702
0.285 0.472 0.168
0.374 0.744 0.237
0.374 0.756 0.737
0.626 0.244 0.263
0.626 0.256 0.763
0.715 0.528 0.832
0.715 0.588 0.298
0.715 0.912 0.798
0.715 0.972 0.332
0.763 0.566 0.215
0.763 0.934 0.715
0.764 0.512 0.679
0.764 0.988 0.179
0.936 0.243 0.258
0.936 0.257 0.758
0.105 0.508 0.905
0.105 0.992 0.405
0.181 0.638 0.426
0.181 0.862 0.926
0.184 0.142 0.931
0.184 0.358 0.431
0.213 0.706 0.720
0.213 0.794 0.220
0.265 0.143 0.248
0.265 0.357 0.748
0.306 0.147 0.553
0.306 0.353 0.053
0.311 0.634 0.065
0.311 0.866 0.565
0.394 0.001 0.099
0.394 0.499 0.599
0.606 0.501 0.401
0.606 0.999 0.901
0.689 0.134 0.435
0.689 0.366 0.935
0.694 0.647 0.947
0.694 0.853 0.447
0.735 0.643 0.252
0.735 0.857 0.752
0.787 0.206 0.780
0.787 0.294 0.280
0.816 0.642 0.569
0.816 0.858 0.069
0.819 0.138 0.074
0.819 0.362 0.574
0.895 0.008 0.595
0.895 0.492 0.095
```

Results
calculated total energy = -56.12 eV per formula unit
calculated formation energy = -1.97 eV/atom
symmetry = P2_1/c (14)
mass density = 1.76 g cm⁻³

No. 2
A plane-wave DFT calculation with PBE was carried out for an optimized crystal structure of MgZn2.

```
MgZn2
1.0
1.477 -7.403 0.000
1.477 7.403 0.000
0.000 0.000 4.642
Mg Zn
2 4
direct
0.062 0.938 0.750
0.938 0.062 0.250
0.272 0.728 0.250
0.383 0.617 0.750
0.617 0.383 0.250
0.728 0.272 0.750
```

Results
calculated total energy = -4.30 eV per formula unit
calculated formation energy = -0.06 eV/atom
symmetry = Cmcm (63)
mass density = 5.07 g cm⁻³

No. 3
A plane-wave DFT calculation with PBE was carried out for an optimized crystal structure of Mg14ZrMn.

```
Mg14ZrMn
1.0
6.370 0.000 0.000
-3.185 5.516 0.000
0.000 0.000 10.117
Mg Zr Mn
14 1 1
direct
0.000 0.000 0.247
0.000 0.000 0.753
0.008 0.504 0.253
0.008 0.504 0.747
0.333 0.166 0.500
0.339 0.170 0.000
0.496 0.504 0.253
0.496 0.504 0.747
0.496 0.992 0.253
0.496 0.992 0.747
0.830 0.170 0.000
0.830 0.661 0.000
0.834 0.166 0.500
0.834 0.667 0.500
0.333 0.667 0.000
0.333 0.667 0.500
```

Results
calculated total energy = -38.83 eV per formula unit
calculated formation energy = 0.08 eV/atom
symmetry = P-6m2 (187)
ΔE to the lowest computed polymorph = 15 meV per atom
mass density = 2.27 g cm⁻³

No. 4
A plane-wave DFT calculation with PBE was carried out for an optimized crystal structure of NbRu3.

```
NbRu3
1.0
3.909 0.000 0.000
0.000 3.909 0.000
0.000 0.000 3.909
Nb Ru
1 3
direct
0.000 0.000 0.000
0.000 0.500 0.500
0.500 0.000 0.500
0.500 0.500 0.000
```

Results
calculated total energy = -38.46 eV per formula unit
calculated formation energy = -0.13 eV/atom
symmetry = Pm-3m (221)
mass density = 11.01 g cm⁻³

No. 5
A plane-wave DFT calculation with PBE was carried out for an optimized crystal structure of NaMg6Zn.

```
NaMg6Zn
1.0
-2.525 4.321 1.282
-4.737 -1.585 -3.986
-5.040 -5.355 8.119
Na Mg Zn
2 12 2
direct
0.500 0.500 0.169
0.500 0.000 0.669
0.000 0.247 0.083
0.000 0.753 0.083
0.000 0.500 0.833
0.500 0.245 0.916
0.500 0.755 0.916
0.500 0.500 0.666
0.000 0.747 0.583
0.000 0.253 0.583
0.000 0.000 0.333
0.500 0.745 0.416
0.500 0.255 0.416
0.500 0.000 0.166
0.000 0.500 0.335
0.000 0.000 0.835
```

Results
calculated total energy = -11.79 eV per formula unit
calculated formation energy = 0.05 eV/atom
mass density = 2.15 g cm⁻³

No. 6
A plane-wave DFT calculation with PBE was carried out for an optimized crystal structure of BiP4O12.

```
BiP4O12
1.0
5.232 -5.846 0.000
5.232 5.846 0.000
0.000 0.000 17.596
Bi P O
4 16 48
direct
0.038 0.392 0.146
0.392 0.038 0.854
0.608 0.962 0.354
0.962 0.608 0.646
0.035 0.739 0.843
0.217 0.689 0.987
0.261 0.965 0.657
0.291 0.323 0.696
0.311 0.783 0.513
0.323 0.291 0.304
0.354 0.354 0.000
0.357 0.643 0.250
0.643 0.357 0.750
0.646 0.646 0.500
0.677 0.709 0.804
0.689 0.217 0.013
0.709 0.677 0.196
0.739 0.035 0.157
0.783 0.311 0.487
0.965 0.261 0.343
0.063 0.635 0.773
0.074 0.892 0.654
0.101 0.635 0.913
0.108 0.926 0.846
0.110 0.653 0.057
0.135 0.688 0.524
0.165 0.264 0.364
0.186 0.619 0.210
0.210 0.467 0.659
0.249 0.303 0.070
0.252 0.261 0.776
0.261 0.252 0.224
0.264 0.165 0.636
0.303 0.249 0.930
0.312 0.865 0.976
0.347 0.890 0.443
0.357 0.553 0.981
0.365 0.899 0.587
0.365 0.937 0.727
0.378 0.497 0.312
0.381 0.814 0.290
0.447 0.643 0.519
0.467 0.210 0.341
0.497 0.378 0.688
0.503 0.622 0.188
0.533 0.790 0.841
0.553 0.357 0.019
0.619 0.186 0.790
0.622 0.503 0.812
0.635 0.063 0.227
0.635 0.101 0.087
0.643 0.447 0.481
0.653 0.110 0.943
0.688 0.135 0.476
0.697 0.751 0.430
0.736 0.835 0.136
0.739 0.748 0.724
0.748 0.739 0.276
0.751 0.697 0.570
0.790 0.533 0.159
0.814 0.381 0.710
0.835 0.736 0.864
0.865 0.312 0.024
0.890 0.347 0.557
0.892 0.074 0.346
0.899 0.365 0.413
0.926 0.108 0.154
0.937 0.365 0.273
```

Results
calculated total energy = -117.09 eV per formula unit
calculated formation energy = -2.38 eV/atom
symmetry = C222_1 (20)
ΔE to the lowest computed polymorph = 7 meV per atom
mass density = 3.24 g cm⁻³